(1)
Material: Cr2Ir2O5
Method: DFT, PBE+U
State: optimized geometry

The value obtained for the theoretical density is 9.1 g/cm³. As for the calculated formation energy: -0.766 eV/atom.

Unit cell a=3.4242 b=3.4242 c=8.8212 alpha=90.00 beta=90.00 gamma=90.00
With the nearest neighbours (Å) after each atom.
Space group P4/mmm (No. 123)
One atom of each set of equivalent atoms:
Cr  0.0000  0.0000  0.2268  5 O 2.00-2.09
Ir  0.5000  0.5000  0.0000  4 O 2.42
Ir  0.5000  0.5000  0.5000  8 O 2.10
O  0.0000  0.0000  0.0000  2 Cr 2.00
O  0.0000  0.5000  0.3630  2 Cr 2.09, 2 Ir 2.10

***

(2)
Material: Li9Mn2Co5O16
Method: DFT, PBE+U
State: optimized geometry

For the relative energy among the computed polymorphs, the calculation gives 0.0565 eV/atom. The value obtained for the theoretical density is 4.2 g/cm³. As for the calculated formation energy: -1.808 eV/atom.

Unit cell a=2.9787 b=8.0842 c=11.9596 alpha=90.74 beta=94.35 gamma=91.02
With the nearest neighbours (Å) after each atom.
Space group P1 (No. 1)
One atom of each set of equivalent atoms:
Li  0.0000  0.0000  0.0000  6 O 2.08-2.25
Li  0.0009  0.0121  0.4943  6 O 2.11-2.20
Li  0.0041  0.5084  0.7437  5 O 2.10-2.16
Li  0.4936  0.7638  0.8774  6 O 2.00-2.23
Li  0.5001  0.2593  0.6208  6 O 2.07-2.21
Li  0.5030  0.2558  0.1212  6 O 1.98-2.21
Li  0.5054  0.7623  0.3706  6 O 2.03-2.17
Li  0.5073  0.7653  0.1160  5 O 2.00-2.17
Li  0.9925  0.5153  0.2472  5 O 2.10-2.22
Mn  0.4994  0.7602  0.6212  4 O 1.94-1.97
Mn  0.9977  0.5172  0.9995  6 O 1.82-2.04
Co  0.0022  0.5076  0.4943  4 O 1.90-1.94
Co  0.0045  0.0005  0.2418  3 O 1.74-1.95
Co  0.4901  0.2581  0.8734  4 O 1.90-1.95
Co  0.5001  0.2580  0.3703  4 O 1.90-1.93
Co  0.9963  0.0113  0.7477  4 O 1.92-1.94
O  0.0064  0.7423  0.9942  1 Mn 1.82, 2 Li 2.00-2.01
O  0.0259  0.2499  0.7541  2 Co 1.91-1.93, 1 Li 2.10
O  0.0267  0.2413  0.2535  2 Co 1.91-1.95
O  0.0275  0.7461  0.4988  1 Co 1.93, 1 Mn 1.95, 2 Li 2.11-2.15
O  0.4735  0.4989  0.8862  1 Co 1.95, 2 Mn 1.99-2.04, 2 Li 2.12-2.15
O  0.4744  0.5161  0.6154  1 Co 1.94, 1 Mn 1.97, 3 Li 2.08-2.16
O  0.4763  0.0223  0.8638  2 Co 1.91-1.92, 1 Li 2.10
O  0.4761  0.0235  0.3648  2 Co 1.90-1.96, 2 Li 2.12
O  0.5260  0.4964  0.3747  2 Co 1.93-1.94, 3 Li 2.13-2.15
O  0.5264  0.5086  0.1058  2 Mn 1.95-1.97, 3 Li 2.05-2.10
O  0.5270  0.0121  0.1325  1 Co 1.86, 2 Li 1.98-2.00
O  0.5277  0.0034  0.6271  1 Co 1.93, 1 Mn 1.97, 2 Li 2.07-2.15
O  0.9710  0.2700  0.9878  1 Co 1.90, 1 Mn 2.00
O  0.9720  0.7714  0.7423  1 Co 1.94, 1 Mn 1.94, 2 Li 2.13-2.16
O  0.9744  0.2722  0.4889  2 Co 1.90-1.93, 1 Li 2.11
O  0.9969  0.7856  0.2498  1 Co 1.74

***

(3)
Material: TiMnO3
Method: DFT, PBE+U
State: optimized geometry

The value obtained for the theoretical density is 4.5 g/cm³. As for the calculated formation energy: -2.955 eV/atom.

Unit cell a=5.1890 b=5.1890 c=14.4289 alpha=90.00 beta=90.00 gamma=120.00
With the nearest neighbours (Å) after each atom.
Space group R-3 (No. 148, hexagonal axes)
One atom of each set of equivalent atoms:
Ti  0.0000  0.0000  0.1464  3 O 1.89
Mn  0.0000  0.0000  0.3588  6 O 2.13-2.29
O  0.0140  0.3780  0.4226  1 Ti 1.89

***

(4)
Material: Cr3NO8
Method: DFT, PBE+U
State: optimized geometry

The value obtained for the theoretical density is 2.5 g/cm³. As for the calculated formation energy: -1.081 eV/atom.

Unit cell a=8.9230 b=5.4450 c=8.1579 alpha=90.00 beta=93.86 gamma=90.00
With the nearest neighbours (Å) after each atom.
Space group C2/m (No. 12)
One atom of each set of equivalent atoms:
Cr  0.0000  0.0000  0.0000  6 O 1.90-1.97
Cr  0.1329  0.5000  0.8090  4 O 1.59-1.72
N  0.0000  0.0000  0.5000  10 O 3.06-3.31
O  0.0249  0.2449  0.8378  2 Cr 1.72-1.90
O  0.1839  0.5000  0.6261  1 Cr 1.59
O  0.2188  0.0000  0.0556  1 Cr 1.67

***

(5)
Material: Ba3Cr2O8
Method: DFT, PBE+U
State: optimized geometry

For the relative energy among the computed polymorphs, the calculation gives 0.0018 eV/atom. The value obtained for the theoretical density is 5.0 g/cm³. As for the calculated formation energy: -2.628 eV/atom.

Unit cell a=5.8210 b=5.8530 c=7.9603 alpha=111.51 beta=90.01 gamma=119.78
With the nearest neighbours (Å) after each atom.
Space group P-1 (No. 2)
One atom of each set of equivalent atoms:
Ba  0.0000  0.0000  0.0000  6 O 2.79-2.81
Ba  0.2065  0.4131  0.6189  4 O 2.64-2.88
Cr  0.4074  0.8152  0.2216  4 O 1.71-1.74
O  0.2434  0.9661  0.6960  1 Cr 1.73
O  0.2711  0.5440  0.3004  1 Cr 1.74
O  0.2769  0.0336  0.3053  1 Cr 1.73
O  0.3267  0.6514  0.9847  1 Cr 1.71

***

(6)
Material: Li5Mn3O8
Method: DFT, PBE+U
State: optimized geometry

For the relative energy among the computed polymorphs, the calculation gives 0.0407 eV/atom. The value obtained for the theoretical density is 3.8 g/cm³. As for the calculated formation energy: -2.109 eV/atom.

Unit cell a=12.5700 b=2.9463 c=9.8619 alpha=90.00 beta=128.28 gamma=90.00
With the nearest neighbours (Å) after each atom.
Space group C2/m (No. 12)
One atom of each set of equivalent atoms:
Li  0.0000  0.0000  0.0000  6 O 2.06-2.14
Li  0.1147  0.5000  0.8714  6 O 2.09-2.24
Li  0.1179  0.0000  0.3565  4 O 1.98-2.13
Mn  0.0000  0.5000  0.5000  6 O 1.95-2.08
Mn  0.2429  0.5000  0.2406  6 O 1.83-2.03
O  0.0665  0.0000  0.6858  3 Mn 2.03-2.08, 3 Li 2.09-2.12
O  0.0794  0.5000  0.1982  1 Mn 1.83, 2 Li 1.98
O  0.1872  0.5000  0.5834  3 Mn 1.95-2.02, 1 Li 2.13
O  0.1968  0.0000  0.0859  2 Mn 1.93, 2 Li 2.06-2.13